# meta-GGA r2SCAN CsCl, relaxed
data_CsCl
_chemical_formula_sum 'Cs4 Cl4'
_cell_length_a 7.013
_cell_length_b 7.013
_cell_length_c 7.013
_cell_angle_alpha 90.00
_cell_angle_beta 90.00
_cell_angle_gamma 90.00
_space_group_name_H-M_alt 'F m -3 m'
_space_group_IT_number 225
_space_group_name_Hall '-F 4 2 3'
loop_
_atom_site_label
_atom_site_fract_x
_atom_site_fract_y
_atom_site_fract_z
Cs1 0.000 0.000 0.000
Cl1 0.000 0.000 0.500
# Total magnetic moment, μB/cell: 0.00
# Total DFT energy (no corrections), eV/atom: -17.795